Computed, not measured: a geometry-optimized UB2Ru3 structure at the meta-GGA r2SCAN level of DFT.

a b c (Å): 5.478 5.478 2.983
angles (deg): 90.00 90.00 120.00
Fractional positions:
U (0.000, 0.000, 0.000)
B (0.333, 0.667, 0.000)
B (0.667, 0.333, 0.000)
Ru (0.000, 0.500, 0.500)
Ru (0.500, 0.000, 0.500)
Ru (0.500, 0.500, 0.500)

Summary:
The density is 12.06 g/cm3. The total energy is -29.02 eV per atom. For the calculated formation energy, the calculation gives -539 meV per atom. Its space group is No. 191.